# Na2UF8 (r2SCAN, relaxed)
data_Na2UF8
_chemical_formula_sum 'Na2 U1 F8'
_cell_length_a 6.4826
_cell_length_b 6.4826
_cell_length_c 6.4826
_cell_angle_alpha 130.18
_cell_angle_beta 130.18
_cell_angle_gamma 73.12
_space_group_name_H-M_alt 'P 1'
_space_group_IT_number 1
_space_group_name_Hall 'P 1'
loop_
_atom_site_label
_atom_site_type_symbol
_atom_site_fract_x
_atom_site_fract_y
_atom_site_fract_z
_atom_site_occupancy
Na1 Na 0.2500 0.7500 0.5000 1
Na2 Na 0.7500 0.2500 0.5000 1
U1 U 0.0000 0.0000 0.0000 1
F1 F 0.1042 0.1042 0.4457 1
F2 F 0.1042 0.6585 0.0000 1
F3 F 0.3415 0.3415 0.4457 1
F4 F 0.3415 0.8958 0.0000 1
F5 F 0.6585 0.1042 0.0000 1
F6 F 0.6585 0.6585 0.5543 1
F7 F 0.8958 0.3415 0.0000 1
F8 F 0.8958 0.8958 0.5543 1
# energy of formation	-3.352	eV per atom
# SG	I4/mmm, No. 139

***

# NaEu2Tl (r2SCAN, relaxed)
data_NaEu2Tl
_chemical_formula_sum 'Na4 Eu8 Tl4'
_cell_length_a 8.1145
_cell_length_b 8.1145
_cell_length_c 8.1145
_cell_angle_alpha 90.00
_cell_angle_beta 90.00
_cell_angle_gamma 90.00
_space_group_name_H-M_alt 'P 1'
_space_group_IT_number 1
_space_group_name_Hall 'P 1'
loop_
_atom_site_label
_atom_site_type_symbol
_atom_site_fract_x
_atom_site_fract_y
_atom_site_fract_z
_atom_site_occupancy
Na1 Na 0.0000 0.0000 0.0000 1
Na2 Na 0.0000 0.5000 0.5000 1
Na3 Na 0.5000 0.0000 0.5000 1
Na4 Na 0.5000 0.5000 0.0000 1
Eu1 Eu 0.2500 0.2500 0.2500 1
Eu2 Eu 0.2500 0.2500 0.7500 1
Eu3 Eu 0.2500 0.7500 0.2500 1
Eu4 Eu 0.2500 0.7500 0.7500 1
Eu5 Eu 0.7500 0.2500 0.2500 1
Eu6 Eu 0.7500 0.2500 0.7500 1
Eu7 Eu 0.7500 0.7500 0.2500 1
Eu8 Eu 0.7500 0.7500 0.7500 1
Tl1 Tl 0.0000 0.0000 0.5000 1
Tl2 Tl 0.0000 0.5000 0.0000 1
Tl3 Tl 0.5000 0.0000 0.0000 1
Tl4 Tl 0.5000 0.5000 0.5000 1
# energy of formation	-0.235	eV per atom
# SG	Fm-3m, No. 225

***

# Cs2WO4 (r2SCAN, relaxed)
data_Cs2WO4
_chemical_formula_sum 'Cs8 W4 O16'
_cell_length_a 8.5594
_cell_length_b 6.5768
_cell_length_c 11.6629
_cell_angle_alpha 90.00
_cell_angle_beta 90.00
_cell_angle_gamma 90.00
_space_group_name_H-M_alt 'P 1'
_space_group_IT_number 1
_space_group_name_Hall 'P 1'
loop_
_atom_site_label
_atom_site_type_symbol
_atom_site_fract_x
_atom_site_fract_y
_atom_site_fract_z
_atom_site_occupancy
Cs1 Cs 0.0096 0.2500 0.2072 1
Cs2 Cs 0.1702 0.7500 0.4173 1
Cs3 Cs 0.3298 0.2500 0.9173 1
Cs4 Cs 0.4904 0.7500 0.7072 1
Cs5 Cs 0.5096 0.2500 0.2928 1
Cs6 Cs 0.6702 0.7500 0.0827 1
Cs7 Cs 0.8298 0.2500 0.5827 1
Cs8 Cs 0.9904 0.7500 0.7928 1
W1 W 0.2249 0.7500 0.0793 1
W2 W 0.2751 0.2500 0.5793 1
W3 W 0.7249 0.7500 0.4207 1
W4 W 0.7751 0.2500 0.9207 1
O1 O 0.0161 0.7500 0.0812 1
O2 O 0.2030 0.0269 0.6499 1
O3 O 0.2030 0.4731 0.6499 1
O4 O 0.2046 0.2500 0.4344 1
O5 O 0.2954 0.7500 0.9344 1
O6 O 0.2970 0.5269 0.1499 1
O7 O 0.2970 0.9731 0.1499 1
O8 O 0.4839 0.2500 0.5812 1
O9 O 0.5161 0.7500 0.4188 1
O10 O 0.7030 0.0269 0.8501 1
O11 O 0.7030 0.4731 0.8501 1
O12 O 0.7046 0.2500 0.0656 1
O13 O 0.7954 0.7500 0.5656 1
O14 O 0.7970 0.5269 0.3501 1
O15 O 0.7970 0.9731 0.3501 1
O16 O 0.9839 0.2500 0.9188 1
# energy of formation	-2.346	eV per atom
# SG	Pnma, No. 62

***

# KAg5S3 (r2SCAN, relaxed)
data_KAg5S3
_chemical_formula_sum 'K6 Ag30 S18'
_cell_length_a 13.3253
_cell_length_b 13.3253
_cell_length_c 7.9311
_cell_angle_alpha 90.00
_cell_angle_beta 90.00
_cell_angle_gamma 120.00
_space_group_name_H-M_alt 'P 1'
_space_group_IT_number 1
_space_group_name_Hall 'P 1'
loop_
_atom_site_label
_atom_site_type_symbol
_atom_site_fract_x
_atom_site_fract_y
_atom_site_fract_z
_atom_site_occupancy
K1 K 0.0000 0.0000 0.0000 1
K2 K 0.0000 0.0000 0.5000 1
K3 K 0.3333 0.6667 0.0011 1
K4 K 0.3333 0.6667 0.4989 1
K5 K 0.6667 0.3333 0.5011 1
K6 K 0.6667 0.3333 0.9989 1
Ag1 Ag 0.0000 0.5350 0.0000 1
Ag2 Ag 0.0000 0.5350 0.5000 1
Ag3 Ag 0.0014 0.3672 0.7500 1
Ag4 Ag 0.0052 0.7066 0.7500 1
Ag5 Ag 0.1495 0.3336 0.0010 1
Ag6 Ag 0.1495 0.3336 0.4990 1
Ag7 Ag 0.1840 0.8505 0.0010 1
Ag8 Ag 0.1840 0.8505 0.4990 1
Ag9 Ag 0.2934 0.2986 0.7500 1
Ag10 Ag 0.2986 0.2934 0.2500 1
Ag11 Ag 0.3336 0.1495 0.5010 1
Ag12 Ag 0.3336 0.1495 0.9990 1
Ag13 Ag 0.3658 0.9986 0.7500 1
Ag14 Ag 0.3672 0.0014 0.2500 1
Ag15 Ag 0.4650 0.4650 0.0000 1
Ag16 Ag 0.4650 0.4650 0.5000 1
Ag17 Ag 0.5350 0.0000 0.0000 1
Ag18 Ag 0.5350 0.0000 0.5000 1
Ag19 Ag 0.6328 0.6342 0.7500 1
Ag20 Ag 0.6342 0.6328 0.2500 1
Ag21 Ag 0.6664 0.8160 0.0010 1
Ag22 Ag 0.6664 0.8160 0.4990 1
Ag23 Ag 0.7014 0.9948 0.7500 1
Ag24 Ag 0.7066 0.0052 0.2500 1
Ag25 Ag 0.8160 0.6664 0.5010 1
Ag26 Ag 0.8160 0.6664 0.9990 1
Ag27 Ag 0.8505 0.1840 0.5010 1
Ag28 Ag 0.8505 0.1840 0.9990 1
Ag29 Ag 0.9948 0.7014 0.2500 1
Ag30 Ag 0.9986 0.3658 0.2500 1
S1 S 0.0830 0.2167 0.2500 1
S2 S 0.1166 0.5831 0.2500 1
S3 S 0.1337 0.9170 0.2500 1
S4 S 0.2167 0.0830 0.7500 1
S5 S 0.2223 0.7743 0.7500 1
S6 S 0.2257 0.4480 0.7500 1
S7 S 0.4169 0.5335 0.2500 1
S8 S 0.4480 0.2257 0.2500 1
S9 S 0.4665 0.8834 0.2500 1
S10 S 0.5335 0.4169 0.7500 1
S11 S 0.5520 0.7777 0.7500 1
S12 S 0.5831 0.1166 0.7500 1
S13 S 0.7743 0.2223 0.2500 1
S14 S 0.7777 0.5520 0.2500 1
S15 S 0.7833 0.8663 0.2500 1
S16 S 0.8663 0.7833 0.7500 1
S17 S 0.8834 0.4665 0.7500 1
S18 S 0.9170 0.1337 0.7500 1
# energy of formation	-0.400	eV per atom
# SG	P-62c, No. 190